(one)
Material: Mg6ZrW
Method: DFT, PBE
State: relaxed

The magnetization comes out at 0.003 μB per cell. The calculation puts the volume at 331.54 Å³/cell.

a b c (Å): 5.0448 5.7938 11.3428
angles (deg): 90.00 90.00 90.00
Positions (direct):
Mg  0.0000  0.7422  0.0837
W  0.5000  0.0000  0.6715
Mg  0.0000  0.2422  0.5837
Zr  0.5000  0.0000  0.1744
Mg  0.0000  0.7578  0.5837
Mg  0.5000  0.2498  0.4250
Mg  0.0000  0.5000  0.3111
Mg  0.5000  0.7498  0.9250
Zr  0.5000  0.5000  0.6744
Mg  0.0000  0.5000  0.8256
Mg  0.0000  0.2578  0.0837
Mg  0.0000  0.0000  0.3256
W  0.5000  0.5000  0.1715
Mg  0.0000  0.0000  0.8111
Mg  0.5000  0.7502  0.4250
Mg  0.5000  0.2502  0.9250

(two)
Material: Mg6ZrW
Method: DFT, PBE
State: relaxed

The magnetization comes out at 0.002 μB per cell. The calculation puts the volume at 334.93 Å³/cell.

a b c (Å): 4.9420 6.0791 11.1485
angles (deg): 90.00 90.00 90.00
Positions (direct):
Mg  0.5000  0.2532  0.4277
Zr  0.0000  0.5000  0.3005
Mg  0.5000  0.0000  0.1753
Mg  0.5000  0.7468  0.4277
Mg  0.0000  0.7437  0.0708
Mg  0.0000  0.7563  0.5708
W  0.5000  0.0000  0.6984
Mg  0.5000  0.2468  0.9277
Mg  0.0000  0.2563  0.0708
W  0.5000  0.5000  0.1984
Mg  0.0000  0.0000  0.3286
Mg  0.5000  0.5000  0.6753
Zr  0.0000  0.0000  0.8005
Mg  0.5000  0.7532  0.9277
Mg  0.0000  0.5000  0.8286
Mg  0.0000  0.2437  0.5708

Compare the structures above. Which one is the most stable? (two) is.